# 1
{"formula": "Mg7Si2O14", "functional": "PBE", "state": "relaxed", "lattice": [[-1.335, 6.314, -4.535], [-3.815, -6.755, -1.423], [-7.207, 2.802, 6.022]], "species": ["Mg", "Mg", "Mg", "Mg", "Mg", "Mg", "Mg", "Mg", "Mg", "Mg", "Mg", "Mg", "Mg", "Mg", "Si", "Si", "Si", "Si", "O", "O", "O", "O", "O", "O", "O", "O", "O", "O", "O", "O", "O", "O", "O", "O", "O", "O", "O", "O", "O", "O", "O", "O", "O", "O", "O", "O"], "frac_coords": [[0.078, 0.463, 0.117], [0.537, 0.615, 0.117], [0.385, 0.922, 0.117], [0.922, 0.537, 0.617], [0.463, 0.385, 0.617], [0.615, 0.078, 0.617], [0.025, 0.241, 0.388], [0.759, 0.784, 0.388], [0.216, 0.975, 0.388], [0.975, 0.759, 0.888], [0.241, 0.216, 0.888], [0.784, 0.025, 0.888], [0.333, 0.667, 0.413], [0.667, 0.333, 0.913], [0.667, 0.333, 0.330], [0.333, 0.667, 0.830], [0.000, 0.000, 0.101], [0.000, 0.000, 0.601], [0.825, 0.026, 0.527], [0.974, 0.799, 0.527], [0.201, 0.175, 0.527], [0.175, 0.974, 0.027], [0.026, 0.201, 0.027], [0.799, 0.825, 0.027], [0.613, 0.085, 0.000], [0.915, 0.527, 0.000], [0.473, 0.387, 0.000], [0.387, 0.915, 0.500], [0.085, 0.473, 0.500], [0.527, 0.613, 0.500], [0.861, 0.324, 0.274], [0.676, 0.537, 0.274], [0.463, 0.139, 0.274], [0.139, 0.676, 0.774], [0.324, 0.463, 0.774], [0.537, 0.861, 0.774], [0.282, 0.471, 0.256], [0.529, 0.811, 0.256], [0.189, 0.718, 0.256], [0.718, 0.529, 0.756], [0.471, 0.189, 0.756], [0.811, 0.282, 0.756], [0.667, 0.333, 0.499], [0.333, 0.667, 0.999], [0.000, 0.000, 0.269], [0.000, 0.000, 0.769]], "total_energy_ev_per_atom": -6.0942, "delta_e_f_ev_per_atom": -2.542}

=====

# 2
{"formula": "Ba3SbN", "functional": "PBE", "state": "relaxed", "lattice": [[5.574, 0.000, 0.000], [0.000, 5.574, 0.000], [0.000, 0.000, 5.574]], "species": ["Ba", "Ba", "Ba", "Sb", "N"], "frac_coords": [[0.000, 0.500, 0.500], [0.500, 0.000, 0.500], [0.500, 0.500, 0.000], [0.000, 0.000, 0.000], [0.500, 0.500, 0.500]], "total_energy_ev_per_atom": -4.4046, "delta_e_f_ev_per_atom": -0.832}